First-principles (PBE) data for a relaxed structure of Th3W, as listed in the Materials Project.

Results
Electronic total energy in eV/cell: -33.40
Space group: I4/mmm

Cell: 6.0301 6.0301 6.0301 Å, 134.97 134.97 65.58°
Last column: nearest neighbours and their distance in Å.
Sites, in units of the cell vectors:
W 0.0000 0.0000 0.0000  12 Th 3.27-3.43
Th 0.5000 0.5000 0.0000  4 W 3.27, 8 Th 3.43
Th 0.7500 0.2500 0.5000  8 Th 3.27-3.43, 4 W 3.43
Th 0.2500 0.7500 0.5000  8 Th 3.27-3.43, 4 W 3.43